Here is a geometry-optimized Na5LiMn2P2C2O14 structure from Materials Project. Energies are from GGA+U.

Size of the total moment: 0.385 μB per atom
Theoretical density: 2.85 g/cm³
Offset from the most stable computed form: 0.007 eV/atom
ΔE_f: -2.3664 eV/atom

```
data_Na5LiMn2P2C2O14
_chemical_formula_sum 'Na10 Li2 Mn4 P4 C4 O28'
_symmetry_space_group_name_H-M 'P 1'
_symmetry_Int_Tables_number 1
_cell_length_a 6.818
_cell_length_b 8.960
_cell_length_c 10.336
_cell_angle_alpha 90.20
_cell_angle_beta 90.15
_cell_angle_gamma 90.31
loop_
_symmetry_equiv_pos_as_xyz
'x,y,z'
loop_
_atom_site_label
_atom_site_type_symbol
_atom_site_fract_x
_atom_site_fract_y
_atom_site_fract_z
Na1 Na 0.000 0.000 0.000
Na2 Na 0.000 0.000 0.497
Na3 Na 0.246 0.176 0.754
Na4 Na 0.496 0.000 0.497
Na5 Na 0.497 0.000 0.000
Na6 Na 0.499 0.517 0.251
Na7 Na 0.501 0.517 0.751
Na8 Na 0.750 0.342 0.995
Na9 Na 0.751 0.342 0.495
Na10 Na 0.998 0.517 0.251
Li1 Li 0.248 0.174 0.253
Li2 Li 0.987 0.528 0.755
Mn1 Mn 0.246 0.619 0.985
Mn2 Mn 0.247 0.619 0.487
Mn3 Mn 0.748 0.897 0.763
Mn4 Mn 0.749 0.898 0.264
P1 P 0.244 0.845 0.725
P2 P 0.248 0.852 0.226
P3 P 0.748 0.669 0.022
P4 P 0.752 0.667 0.524
C1 C 0.247 0.314 0.504
C2 C 0.248 0.318 0.011
C3 C 0.748 0.199 0.243
C4 C 0.754 0.202 0.743
O1 O 0.064 0.940 0.767
O2 O 0.067 0.948 0.266
O3 O 0.234 0.684 0.783
O4 O 0.245 0.405 0.603
O5 O 0.247 0.377 0.896
O6 O 0.247 0.404 0.112
O7 O 0.247 0.830 0.575
O8 O 0.248 0.367 0.387
O9 O 0.248 0.830 0.076
O10 O 0.249 0.171 0.522
O11 O 0.249 0.174 0.026
O12 O 0.249 0.695 0.289
O13 O 0.430 0.933 0.769
O14 O 0.431 0.948 0.266
O15 O 0.563 0.578 0.982
O16 O 0.565 0.576 0.485
O17 O 0.747 0.343 0.232
O18 O 0.748 0.118 0.640
O19 O 0.748 0.139 0.856
O20 O 0.748 0.828 0.962
O21 O 0.749 0.114 0.140
O22 O 0.749 0.136 0.356
O23 O 0.749 0.827 0.466
O24 O 0.751 0.687 0.173
O25 O 0.761 0.682 0.676
O26 O 0.766 0.347 0.734
O27 O 0.929 0.577 0.977
O28 O 0.932 0.576 0.479
```